## LiCo3SbP6O24 (PBE with a Hubbard U)

Data for a relaxed structure of LiCo3SbP6O24.

Volume   459.0 Å³/cell
Spin magnetization   3.0 μB/f.u.
SG   R3 (146)
Energy above the lowest structure with this stoichiometry   0.020 eV/atom
ΔE_f   -2063 meV/atom

Geometry as CIF:
```
data_LiCo3SbP6O24
_chemical_formula_sum 'Li1 Co3 Sb1 P6 O24'
_cell_length_a 8.757
_cell_length_b 8.757
_cell_length_c 8.757
_cell_angle_alpha 58.54
_cell_angle_beta 58.54
_cell_angle_gamma 58.54
_space_group_name_H-M_alt 'P 1'
_space_group_IT_number 1
_space_group_name_Hall 'P 1'
loop_
_atom_site_label
_atom_site_fract_x
_atom_site_fract_y
_atom_site_fract_z
O1 0.372 0.984 0.219
O2 0.219 0.372 0.984
O3 0.490 0.864 0.721
O4 0.144 0.276 0.509
O5 0.984 0.219 0.372
O6 0.562 0.785 0.425
O7 0.438 0.224 0.572
O8 0.623 0.013 0.789
O9 0.721 0.490 0.864
O10 0.080 0.728 0.943
O11 0.572 0.438 0.224
O12 0.943 0.080 0.728
O13 0.276 0.509 0.144
O14 0.269 0.060 0.920
O15 0.060 0.920 0.269
O16 0.785 0.425 0.562
O17 0.728 0.943 0.080
O18 0.224 0.572 0.438
O19 0.509 0.144 0.276
O20 0.013 0.789 0.623
O21 0.789 0.623 0.013
O22 0.920 0.269 0.060
O23 0.425 0.562 0.785
O24 0.864 0.721 0.490
P1 0.461 0.041 0.744
P2 0.041 0.744 0.461
P3 0.251 0.541 0.968
P4 0.541 0.968 0.251
P5 0.968 0.251 0.541
P6 0.744 0.461 0.041
Li1 0.990 0.990 0.990
Co1 0.852 0.852 0.852
Co2 0.644 0.644 0.644
Co3 0.356 0.356 0.356
Sb1 0.144 0.144 0.144
```


## LiCo3SbP6O24 (PBE with a Hubbard U)

Data for a relaxed structure of LiCo3SbP6O24.

Volume   434.8 Å³/cell
Spin magnetization   3.0 μB/f.u.
SG   P1 (1)
Energy above the lowest structure with this stoichiometry   0.000 eV/atom
ΔE_f   -2083 meV/atom

Geometry as CIF:
```
data_LiCo3SbP6O24
_chemical_formula_sum 'Li1 Co3 Sb1 P6 O24'
_cell_length_a 8.513
_cell_length_b 8.514
_cell_length_c 8.526
_cell_angle_alpha 59.75
_cell_angle_beta 59.77
_cell_angle_gamma 59.83
_space_group_name_H-M_alt 'P 1'
_space_group_IT_number 1
_space_group_name_Hall 'P 1'
loop_
_atom_site_label
_atom_site_fract_x
_atom_site_fract_y
_atom_site_fract_z
P1 0.747 0.454 0.043
P2 0.043 0.747 0.453
P3 0.254 0.525 0.963
P4 0.525 0.967 0.253
P5 0.965 0.254 0.522
P6 0.451 0.044 0.747
O1 0.703 0.491 0.874
O2 0.575 0.440 0.237
O3 0.437 0.239 0.575
O4 0.772 0.422 0.544
O5 0.192 0.369 0.991
O6 0.021 0.791 0.621
O7 0.305 0.499 0.125
O8 0.915 0.260 0.064
O9 0.795 0.620 0.018
O10 0.622 0.016 0.792
O11 0.542 0.774 0.418
O12 0.872 0.708 0.489
O13 0.723 0.945 0.084
O14 0.945 0.086 0.720
O15 0.066 0.919 0.260
O16 0.508 0.128 0.299
O17 0.261 0.067 0.916
O18 0.131 0.299 0.495
O19 0.487 0.875 0.703
O20 0.419 0.543 0.770
O21 0.087 0.724 0.944
O22 0.364 0.999 0.195
O23 0.236 0.577 0.436
O24 0.985 0.201 0.364
Co1 0.137 0.141 0.139
Co2 0.637 0.641 0.638
Co3 0.358 0.356 0.354
Li1 0.489 0.500 0.496
Sb1 0.861 0.860 0.859
```


## Li4CoSn3P4O16 (PBE with a Hubbard U)

Data for a relaxed structure of Li4CoSn3P4O16.

Volume   359.3 Å³/cell
Spin magnetization   3.0 μB/f.u.
SG   Pm (6)
Maximum piezoelectric response   0.8 C/m²
ΔE_f   -2377 meV/atom

Geometry as CIF:
```
data_Li4CoSn3P4O16
_chemical_formula_sum 'Li4 Co1 Sn3 P4 O16'
_cell_length_a 6.770
_cell_length_b 4.856
_cell_length_c 10.934
_cell_angle_alpha 88.79
_cell_angle_beta 90.00
_cell_angle_gamma 90.00
_space_group_name_H-M_alt 'P 1'
_space_group_IT_number 1
_space_group_name_Hall 'P 1'
loop_
_atom_site_label
_atom_site_fract_x
_atom_site_fract_y
_atom_site_fract_z
O1 0.183 0.788 0.627
O2 0.314 0.214 0.348
O3 0.500 0.692 0.949
O4 0.315 0.274 0.857
O5 0.817 0.788 0.627
O6 0.819 0.768 0.162
O7 0.686 0.214 0.348
O8 0.000 0.718 0.963
O9 0.500 0.237 0.546
O10 0.500 0.221 0.055
O11 0.500 0.781 0.431
O12 0.000 0.232 0.554
O13 0.000 0.309 0.120
O14 0.685 0.274 0.857
O15 0.000 0.791 0.425
O16 0.181 0.768 0.162
Li1 0.243 0.498 0.487
Li2 0.726 0.967 0.008
Li3 0.274 0.967 0.008
Li4 0.757 0.498 0.487
P1 0.000 0.623 0.102
P2 0.500 0.096 0.416
P3 0.500 0.380 0.929
P4 0.000 0.915 0.556
Sn1 0.500 0.943 0.704
Sn2 0.500 0.542 0.218
Sn3 0.000 0.466 0.782
Co1 0.000 0.036 0.272
```


## Li4Co3SnP4O16 (PBE with a Hubbard U)

Data for a relaxed structure of Li4Co3SnP4O16.

Volume   313.8 Å³/cell
Spin magnetization   9.0 μB/f.u.
SG   Pm (6)
ΔE_f   -2304 meV/atom

Geometry as CIF:
```
data_Li4Co3SnP4O16
_chemical_formula_sum 'Li4 Co3 Sn1 P4 O16'
_cell_length_a 6.065
_cell_length_b 4.825
_cell_length_c 10.727
_cell_angle_alpha 88.77
_cell_angle_beta 90.00
_cell_angle_gamma 90.00
_space_group_name_H-M_alt 'P 1'
_space_group_IT_number 1
_space_group_name_Hall 'P 1'
loop_
_atom_site_label
_atom_site_fract_x
_atom_site_fract_y
_atom_site_fract_z
O1 0.500 0.286 0.056
O2 0.202 0.719 0.169
O3 0.500 0.771 0.392
O4 0.000 0.793 0.447
O5 0.705 0.221 0.320
O6 0.708 0.322 0.855
O7 0.295 0.221 0.320
O8 0.500 0.752 0.935
O9 0.199 0.723 0.651
O10 0.798 0.719 0.169
O11 0.500 0.221 0.520
O12 0.292 0.322 0.855
O13 0.000 0.194 0.605
O14 0.000 0.267 0.101
O15 0.000 0.716 0.964
O16 0.801 0.723 0.651
P1 0.000 0.880 0.586
P2 0.000 0.586 0.098
P3 0.500 0.435 0.926
P4 0.500 0.089 0.388
Sn1 0.500 0.992 0.716
Co1 0.000 0.021 0.275
Co2 0.000 0.484 0.789
Co3 0.500 0.531 0.214
Li1 0.252 0.004 0.013
Li2 0.746 0.502 0.485
Li3 0.748 0.004 0.013
Li4 0.254 0.502 0.485
```


## Li2Ti3CoP6O24 (PBE with a Hubbard U)

Data for a relaxed structure of Li2Ti3CoP6O24.

Volume   450.5 Å³/cell
Spin magnetization   1.0 μB/f.u.
SG   R3 (146)
ΔE_f   -2770 meV/atom

Geometry as CIF:
```
data_Li2Ti3CoP6O24
_chemical_formula_sum 'Li2 Ti3 Co1 P6 O24'
_cell_length_a 8.647
_cell_length_b 8.647
_cell_length_c 8.647
_cell_angle_alpha 59.35
_cell_angle_beta 59.35
_cell_angle_gamma 59.35
_space_group_name_H-M_alt 'P 1'
_space_group_IT_number 1
_space_group_name_Hall 'P 1'
loop_
_atom_site_label
_atom_site_fract_x
_atom_site_fract_y
_atom_site_fract_z
P1 0.758 0.455 0.041
P2 0.041 0.758 0.455
P3 0.251 0.530 0.962
P4 0.455 0.041 0.758
P5 0.962 0.251 0.530
P6 0.530 0.962 0.251
O1 0.588 0.435 0.230
O2 0.129 0.298 0.498
O3 0.721 0.943 0.081
O4 0.435 0.230 0.588
O5 0.801 0.625 0.003
O6 0.873 0.709 0.494
O7 0.709 0.494 0.873
O8 0.625 0.003 0.801
O9 0.215 0.363 0.986
O10 0.266 0.054 0.928
O11 0.986 0.215 0.363
O12 0.054 0.928 0.266
O13 0.003 0.801 0.625
O14 0.943 0.081 0.721
O15 0.772 0.420 0.557
O16 0.928 0.266 0.054
O17 0.298 0.498 0.129
O18 0.557 0.772 0.420
O19 0.420 0.557 0.772
O20 0.230 0.588 0.435
O21 0.363 0.986 0.215
O22 0.494 0.873 0.709
O23 0.081 0.721 0.943
O24 0.498 0.129 0.298
Ti1 0.357 0.357 0.357
Ti2 0.644 0.644 0.644
Ti3 0.859 0.859 0.859
Li1 0.500 0.500 0.500
Li2 0.010 0.010 0.010
Co1 0.143 0.143 0.143
```


## Li2Ti4CoP4O20 (PBE with a Hubbard U)

Data for a relaxed structure of Li2Ti4CoP4O20.

Volume   696.3 Å³/cell
Spin magnetization   1.0 μB/f.u.
SG   P2_1/c (14)
Energy above the lowest structure with this stoichiometry   0.003 eV/atom
ΔE_f   -2935 meV/atom

Geometry as CIF:
```
data_Li2Ti4CoP4O20
_chemical_formula_sum 'Li4 Ti8 Co2 P8 O40'
_cell_length_a 7.269
_cell_length_b 7.390
_cell_length_c 14.869
_cell_angle_alpha 60.65
_cell_angle_beta 90.00
_cell_angle_gamma 90.00
_space_group_name_H-M_alt 'P 1'
_space_group_IT_number 1
_space_group_name_Hall 'P 1'
loop_
_atom_site_label
_atom_site_fract_x
_atom_site_fract_y
_atom_site_fract_z
O1 0.247 0.600 0.279
O2 0.507 0.674 0.625
O3 0.154 0.996 0.116
O4 0.346 0.996 0.616
O5 0.760 0.909 0.223
O6 0.753 0.400 0.721
O7 0.240 0.091 0.777
O8 0.007 0.326 0.875
O9 0.005 0.836 0.370
O10 0.846 0.004 0.884
O11 0.995 0.164 0.630
O12 0.495 0.836 0.870
O13 0.246 0.402 0.471
O14 0.479 0.177 0.874
O15 0.242 0.899 0.970
O16 0.166 0.479 0.633
O17 0.505 0.164 0.130
O18 0.254 0.402 0.971
O19 0.021 0.177 0.374
O20 0.993 0.674 0.125
O21 0.666 0.521 0.867
O22 0.991 0.329 0.124
O23 0.493 0.326 0.375
O24 0.742 0.101 0.530
O25 0.746 0.598 0.029
O26 0.521 0.823 0.126
O27 0.009 0.671 0.876
O28 0.747 0.400 0.221
O29 0.491 0.671 0.376
O30 0.334 0.479 0.133
O31 0.260 0.091 0.277
O32 0.979 0.823 0.626
O33 0.834 0.521 0.367
O34 0.509 0.329 0.624
O35 0.758 0.101 0.030
O36 0.754 0.598 0.529
O37 0.253 0.600 0.779
O38 0.258 0.899 0.470
O39 0.740 0.909 0.723
O40 0.654 0.004 0.384
Ti1 0.283 0.712 0.128
Ti2 0.217 0.712 0.628
Ti3 0.717 0.288 0.872
Ti4 0.783 0.288 0.372
Ti5 0.233 0.226 0.118
Ti6 0.733 0.774 0.382
Ti7 0.267 0.226 0.618
Ti8 0.767 0.774 0.882
Co1 0.500 0.000 0.500
Co2 0.000 0.000 0.000
Li1 0.503 0.247 0.248
Li2 0.003 0.753 0.252
Li3 0.997 0.247 0.748
Li4 0.497 0.753 0.752
P1 0.866 0.999 0.629
P2 0.634 0.999 0.129
P3 0.370 0.500 0.375
P4 0.366 0.001 0.871
P5 0.134 0.001 0.371
P6 0.130 0.500 0.875
P7 0.630 0.500 0.625
P8 0.870 0.500 0.125
```


## Li2Ti4CoP4O20 (PBE with a Hubbard U)

Data for a relaxed structure of Li2Ti4CoP4O20.

Volume   353.6 Å³/cell
Spin magnetization   1.0 μB/f.u.
SG   P-1 (2)
Energy above the lowest structure with this stoichiometry   0.000 eV/atom
ΔE_f   -2938 meV/atom

Geometry as CIF:
```
data_Li2Ti4CoP4O20
_chemical_formula_sum 'Li2 Ti4 Co1 P4 O20'
_cell_length_a 6.444
_cell_length_b 7.331
_cell_length_c 7.486
_cell_angle_alpha 89.75
_cell_angle_beta 89.57
_cell_angle_gamma 89.48
_space_group_name_H-M_alt 'P 1'
_space_group_IT_number 1
_space_group_name_Hall 'P 1'
loop_
_atom_site_label
_atom_site_fract_x
_atom_site_fract_y
_atom_site_fract_z
O1 0.733 0.645 0.386
O2 0.558 0.257 0.869
O3 0.443 0.747 0.631
O4 0.057 0.747 0.622
O5 0.251 0.496 0.297
O6 0.054 0.747 0.135
O7 0.267 0.355 0.614
O8 0.248 0.508 0.956
O9 0.748 0.016 0.553
O10 0.761 0.998 0.213
O11 0.749 0.504 0.703
O12 0.752 0.492 0.044
O13 0.943 0.253 0.378
O14 0.239 0.002 0.787
O15 0.252 0.984 0.447
O16 0.233 0.160 0.109
O17 0.767 0.840 0.891
O18 0.557 0.253 0.369
O19 0.946 0.253 0.865
O20 0.442 0.743 0.131
Ti1 0.739 0.727 0.161
Ti2 0.245 0.216 0.330
Ti3 0.755 0.784 0.670
Ti4 0.261 0.273 0.839
P1 0.248 0.624 0.126
P2 0.752 0.376 0.874
P3 0.753 0.126 0.376
P4 0.247 0.874 0.624
Co1 0.500 0.500 0.500
Li1 0.000 0.000 0.000
Li2 0.000 0.500 0.500
```


## LiVCo3P6O24 (PBE with a Hubbard U)

Data for a relaxed structure of LiVCo3P6O24.

Volume   449.9 Å³/cell
Spin magnetization   3.0 μB/f.u.
SG   R3 (146)
ΔE_f   -2093 meV/atom

Geometry as CIF:
```
data_LiVCo3P6O24
_chemical_formula_sum 'Li1 V1 Co3 P6 O24'
_cell_length_a 8.650
_cell_length_b 8.650
_cell_length_c 8.650
_cell_angle_alpha 59.26
_cell_angle_beta 59.26
_cell_angle_gamma 59.26
_space_group_name_H-M_alt 'P 1'
_space_group_IT_number 1
_space_group_name_Hall 'P 1'
loop_
_atom_site_label
_atom_site_fract_x
_atom_site_fract_y
_atom_site_fract_z
O1 0.735 0.936 0.077
O2 0.514 0.134 0.282
O3 0.272 0.066 0.924
O4 0.783 0.421 0.546
O5 0.215 0.584 0.441
O6 0.421 0.546 0.783
O7 0.631 0.007 0.796
O8 0.077 0.735 0.936
O9 0.134 0.282 0.514
O10 0.924 0.272 0.066
O11 0.546 0.783 0.421
O12 0.729 0.485 0.857
O13 0.441 0.215 0.584
O14 0.485 0.857 0.729
O15 0.066 0.924 0.272
O16 0.857 0.729 0.485
O17 0.936 0.077 0.735
O18 0.007 0.796 0.631
O19 0.796 0.631 0.007
O20 0.282 0.514 0.134
O21 0.584 0.441 0.215
O22 0.192 0.372 0.009
O23 0.372 0.009 0.192
O24 0.009 0.192 0.372
V1 0.143 0.143 0.143
P1 0.966 0.245 0.542
P2 0.466 0.029 0.755
P3 0.542 0.966 0.245
P4 0.245 0.542 0.966
P5 0.755 0.466 0.029
P6 0.029 0.755 0.466
Co1 0.637 0.637 0.637
Co2 0.856 0.856 0.856
Co3 0.363 0.363 0.363
Li1 0.988 0.988 0.988
```


## Li4V3CoP4O16 (PBE with a Hubbard U)

Data for a relaxed structure of Li4V3CoP4O16.

Volume   300.3 Å³/cell
Spin magnetization   12.0 μB/f.u.
SG   Pm (6)
ΔE_f   -2567 meV/atom

Geometry as CIF:
```
data_Li4V3CoP4O16
_chemical_formula_sum 'Li4 V3 Co1 P4 O16'
_cell_length_a 6.059
_cell_length_b 4.748
_cell_length_c 10.438
_cell_angle_alpha 89.84
_cell_angle_beta 90.00
_cell_angle_gamma 90.00
_space_group_name_H-M_alt 'P 1'
_space_group_IT_number 1
_space_group_name_Hall 'P 1'
loop_
_atom_site_label
_atom_site_fract_x
_atom_site_fract_y
_atom_site_fract_z
P1 0.500 0.084 0.591
P2 0.000 0.586 0.908
P3 0.500 0.411 0.095
P4 0.000 0.918 0.406
O1 0.500 0.762 0.596
O2 0.000 0.794 0.544
O3 0.296 0.273 0.165
O4 0.796 0.722 0.838
O5 0.000 0.242 0.404
O6 0.703 0.222 0.661
O7 0.000 0.263 0.904
O8 0.204 0.722 0.838
O9 0.500 0.205 0.452
O10 0.204 0.783 0.335
O11 0.500 0.734 0.098
O12 0.704 0.273 0.165
O13 0.796 0.783 0.335
O14 0.500 0.293 0.956
O15 0.000 0.706 0.046
O16 0.297 0.222 0.661
V1 0.000 0.017 0.724
V2 0.000 0.483 0.225
V3 0.500 0.515 0.775
Li1 0.748 0.999 0.002
Li2 0.750 0.500 0.499
Li3 0.252 0.999 0.002
Li4 0.250 0.500 0.499
Co1 0.500 0.988 0.275
```


## Li8VCo3P6O24 (PBE with a Hubbard U)

Data for a relaxed structure of Li8VCo3P6O24.

Volume   478.4 Å³/cell
Spin magnetization   8.0 μB/f.u.
SG   P1 (1)
ΔE_f   -2420 meV/atom

Geometry as CIF:
```
data_Li8VCo3P6O24
_chemical_formula_sum 'Li8 V1 Co3 P6 O24'
_cell_length_a 8.622
_cell_length_b 8.628
_cell_length_c 8.630
_cell_angle_alpha 62.34
_cell_angle_beta 62.46
_cell_angle_gamma 62.44
_space_group_name_H-M_alt 'P 1'
_space_group_IT_number 1
_space_group_name_Hall 'P 1'
loop_
_atom_site_label
_atom_site_fract_x
_atom_site_fract_y
_atom_site_fract_z
O1 0.537 0.117 0.281
O2 0.914 0.088 0.749
O3 0.396 0.988 0.181
O4 0.088 0.748 0.913
O5 0.468 0.225 0.576
O6 0.887 0.696 0.475
O7 0.280 0.538 0.117
O8 0.990 0.820 0.614
O9 0.766 0.405 0.569
O10 0.117 0.281 0.537
O11 0.475 0.888 0.695
O12 0.183 0.394 0.989
O13 0.988 0.183 0.396
O14 0.820 0.614 0.992
O15 0.748 0.914 0.088
O16 0.576 0.468 0.225
O17 0.697 0.474 0.888
O18 0.615 0.991 0.819
O19 0.404 0.570 0.768
O20 0.225 0.576 0.469
O21 0.569 0.767 0.405
O22 0.092 0.888 0.258
O23 0.888 0.258 0.094
O24 0.259 0.092 0.888
P1 0.455 0.047 0.746
P2 0.747 0.454 0.047
P3 0.046 0.746 0.455
P4 0.242 0.551 0.952
P5 0.951 0.243 0.551
P6 0.551 0.951 0.242
Co1 0.351 0.350 0.347
Co2 0.645 0.646 0.646
Co3 0.148 0.148 0.148
Li1 0.707 0.164 0.345
Li2 0.164 0.346 0.707
Li3 0.284 0.851 0.668
Li4 0.017 0.018 0.017
Li5 0.345 0.709 0.164
Li6 0.850 0.668 0.284
Li7 0.671 0.281 0.852
Li8 0.492 0.492 0.491
V1 0.854 0.855 0.854
```